[1]
Below is NdTeCl after structural relaxation, with properties calculated at the meta-GGA r2SCAN level.

a = 4.481 Å, b = 4.481 Å, c = 8.213 Å
α = 90.00°, β = 90.00°, γ = 90.00°
Element x y z (fractional)
Nd1 0.250 0.250 0.239
Nd2 0.750 0.750 0.761
Te1 0.250 0.250 0.636
Te2 0.750 0.750 0.364
Cl1 0.250 0.750 0.000
Cl2 0.750 0.250 0.000

Summary:
The raw total energy is -22.450 eV/atom.


[2]
Below is NiCl2 after structural relaxation, with properties calculated at the meta-GGA r2SCAN level.

a = 6.286 Å, b = 6.286 Å, c = 6.286 Å
α = 32.06°, β = 32.06°, γ = 32.06°
Element x y z (fractional)
Ni1 0.000 0.000 0.000
Cl1 0.260 0.260 0.260
Cl2 0.740 0.740 0.740

Summary:
The raw total energy is -9.079 eV/atom.


[3]
Below is NiCl2O2 after structural relaxation, with properties calculated at the meta-GGA r2SCAN level.

a = 5.630 Å, b = 5.630 Å, c = 6.618 Å
α = 105.27°, β = 105.27°, γ = 69.72°
Element x y z (fractional)
Ni1 0.000 0.500 0.000
Ni2 0.500 0.000 0.000
Cl1 0.183 0.183 0.741
Cl2 0.232 0.232 0.237
Cl3 0.768 0.768 0.763
Cl4 0.817 0.817 0.259
O1 0.303 0.638 0.074
O2 0.362 0.697 0.926
O3 0.638 0.303 0.074
O4 0.697 0.362 0.926

Summary:
The raw total energy is -7.675 eV/atom.


These records have volume values of 27.48 20.73 18.64 A^3/atom, in the order they appear.
These records have formation energy from the elements values of -6.36 -2.95 -2.14 eV per formula unit, in the order they appear.